1.
A relaxed Rb2Ca5N4 crystal. Source: the Materials Project database, functional PBE.

Unit cell a=7.936 b=7.936 c=17.494 alpha=90.00 beta=90.00 gamma=90.00
Atoms (fractional coordinates):
Rb 0.574 0.074 0.250
Rb 0.426 0.926 0.750
Rb 0.426 0.574 0.250
Rb 0.074 0.574 0.750
Rb 0.074 0.926 0.250
Rb 0.926 0.426 0.250
Rb 0.926 0.074 0.750
Rb 0.574 0.426 0.750
N 0.365 0.552 0.079
N 0.865 0.448 0.421
N 0.552 0.135 0.079
N 0.448 0.865 0.921
N 0.635 0.448 0.921
N 0.448 0.635 0.421
N 0.552 0.365 0.579
N 0.635 0.052 0.421
N 0.865 0.052 0.921
N 0.135 0.948 0.079
N 0.948 0.365 0.079
N 0.948 0.135 0.579
N 0.052 0.865 0.421
N 0.135 0.552 0.579
N 0.365 0.948 0.579
N 0.052 0.635 0.921
Ca 0.079 0.866 0.564
Ca 0.921 0.366 0.936
Ca 0.750 0.750 0.915
Ca 0.134 0.579 0.436
Ca 0.634 0.079 0.564
Ca 0.866 0.421 0.564
Ca 0.866 0.079 0.064
Ca 0.421 0.866 0.064
Ca 0.921 0.134 0.436
Ca 0.366 0.921 0.436
Ca 0.366 0.579 0.936
Ca 0.134 0.921 0.936
Ca 0.250 0.250 0.085
Ca 0.250 0.250 0.585
Ca 0.421 0.634 0.564
Ca 0.579 0.366 0.436
Ca 0.579 0.134 0.936
Ca 0.079 0.634 0.064
Ca 0.634 0.421 0.064
Ca 0.750 0.750 0.415

**Magnetic moment**: 0.005 μB per atom
**ΔE_f**: -512 meV per atom
**Crystal system**: tetragonal
**Total energy**: -4.502 eV per atom

2.
A relaxed CaReN2 crystal. Source: the Materials Project database, functional PBE.

Unit cell a=5.550 b=10.421 c=15.747 alpha=90.00 beta=90.00 gamma=90.00
Atoms (fractional coordinates):
N 0.338 0.749 0.549
N 0.838 0.749 0.951
N 0.847 0.576 0.588
N 0.347 0.924 0.412
N 0.719 0.712 0.184
N 0.219 0.788 0.816
N 0.219 0.712 0.316
N 0.153 0.076 0.912
N 0.281 0.212 0.316
N 0.847 0.924 0.088
N 0.653 0.076 0.588
N 0.598 0.011 0.786
N 0.662 0.249 0.951
N 0.781 0.288 0.684
N 0.162 0.251 0.049
N 0.781 0.212 0.184
N 0.902 0.989 0.286
N 0.662 0.251 0.451
N 0.098 0.011 0.714
N 0.598 0.489 0.286
N 0.838 0.751 0.451
N 0.153 0.424 0.412
N 0.402 0.989 0.214
N 0.347 0.576 0.912
N 0.098 0.489 0.214
N 0.719 0.788 0.684
N 0.402 0.511 0.714
N 0.338 0.751 0.049
N 0.162 0.249 0.549
N 0.653 0.424 0.088
N 0.281 0.288 0.816
N 0.902 0.511 0.786
Re 0.777 0.967 0.677
Re 0.223 0.033 0.323
Re 0.677 0.755 0.061
Re 0.723 0.033 0.177
Re 0.177 0.755 0.439
Re 0.323 0.255 0.439
Re 0.723 0.467 0.677
Re 0.277 0.967 0.823
Re 0.677 0.745 0.561
Re 0.177 0.745 0.939
Re 0.823 0.245 0.561
Re 0.777 0.533 0.177
Re 0.823 0.255 0.061
Re 0.277 0.533 0.323
Re 0.223 0.467 0.823
Re 0.323 0.245 0.939
Ca 0.869 0.204 0.815
Ca 0.131 0.704 0.685
Ca 0.247 0.494 0.554
Ca 0.747 0.494 0.946
Ca 0.253 0.506 0.054
Ca 0.753 0.506 0.446
Ca 0.253 0.994 0.554
Ca 0.747 0.006 0.446
Ca 0.369 0.296 0.185
Ca 0.247 0.006 0.054
Ca 0.131 0.796 0.185
Ca 0.631 0.704 0.815
Ca 0.369 0.204 0.685
Ca 0.631 0.796 0.315
Ca 0.869 0.296 0.315
Ca 0.753 0.994 0.946

**Magnetic moment**: 0.000 μB per atom
**ΔE_f**: -554 meV per atom
**Crystal system**: orthorhombic
**Total energy**: -8.154 eV per atom

3.
A relaxed Ca4ReN4 crystal. Source: the Materials Project database, functional PBE.

Unit cell a=6.095 b=6.040 c=8.954 alpha=65.78 beta=77.15 gamma=69.40
Atoms (fractional coordinates):
Re 0.282 0.155 0.244
Re 0.718 0.845 0.756
Ca 0.731 0.243 0.989
Ca 0.781 0.047 0.380
Ca 0.242 0.373 0.844
Ca 0.269 0.757 0.011
Ca 0.264 0.540 0.420
Ca 0.736 0.460 0.580
Ca 0.758 0.627 0.156
Ca 0.219 0.953 0.620
N 0.969 0.671 0.631
N 0.486 0.156 0.658
N 0.507 0.619 0.786
N 0.493 0.381 0.214
N 0.031 0.329 0.369
N 0.514 0.844 0.342
N 0.095 0.088 0.131
N 0.905 0.912 0.869

**Magnetic moment**: 0.001 μB per atom
**ΔE_f**: -915 meV per atom
**Crystal system**: triclinic
**Total energy**: -6.734 eV per atom

4.
A relaxed CaReN2 crystal. Source: the Materials Project database, functional PBE.

Unit cell a=5.703 b=5.703 c=5.703 alpha=32.12 beta=32.12 gamma=32.12
Atoms (fractional coordinates):
N 0.763 0.763 0.763
N 0.237 0.237 0.237
Ca 0.000 0.000 0.000
Re 0.500 0.500 0.500

**Magnetic moment**: 0.124 μB per atom
**ΔE_f**: -566 meV per atom
**Crystal system**: trigonal
**Total energy**: -8.167 eV per atom